# Sr4Ir GGA-PBE optimized geometry
data_Sr4Ir
_cell_length_a 8.8444
_cell_length_b 8.8444
_cell_length_c 8.8444
_cell_angle_alpha 60.00
_cell_angle_beta 60.00
_cell_angle_gamma 60.00
_symmetry_space_group_name_H-M 'P 1'
_symmetry_Int_Tables_number 1
_symmetry_space_group_name_Hall 'P 1'
loop_
_atom_site_label
_atom_site_type_symbol
_atom_site_fract_x
_atom_site_fract_y
_atom_site_fract_z
_atom_site_occupancy
Sr1 Sr 0.2419 0.7527 0.7527 1
Sr2 Sr 0.2473 0.2473 0.2473 1
Sr3 Sr 0.2473 0.2473 0.7581 1
Sr4 Sr 0.2473 0.7581 0.2473 1
Sr5 Sr 0.7527 0.2419 0.7527 1
Sr6 Sr 0.7527 0.7527 0.2419 1
Sr7 Sr 0.7527 0.7527 0.7527 1
Sr8 Sr 0.7581 0.2473 0.2473 1
Ir1 Ir 0.3750 0.3750 0.3750 1
Ir2 Ir 0.6250 0.6250 0.6250 1
# Formation enthalpy at 0 K = 146 meV per atom
# Calculated volume = 489.2 Å³ per cell


# TbOs3 GGA-PBE optimized geometry
data_TbOs3
_cell_length_a 5.8962
_cell_length_b 5.8962
_cell_length_c 4.5796
_cell_angle_alpha 90.00
_cell_angle_beta 90.00
_cell_angle_gamma 120.00
_symmetry_space_group_name_H-M 'P 1'
_symmetry_Int_Tables_number 1
_symmetry_space_group_name_Hall 'P 1'
loop_
_atom_site_label
_atom_site_type_symbol
_atom_site_fract_x
_atom_site_fract_y
_atom_site_fract_z
_atom_site_occupancy
Tb1 Tb 0.3333 0.6667 0.2500 1
Tb2 Tb 0.6667 0.3333 0.7500 1
Os1 Os 0.1553 0.3107 0.7500 1
Os2 Os 0.1553 0.8447 0.7500 1
Os3 Os 0.3107 0.1553 0.2500 1
Os4 Os 0.6893 0.8447 0.7500 1
Os5 Os 0.8447 0.1553 0.2500 1
Os6 Os 0.8447 0.6893 0.2500 1
# Formation enthalpy at 0 K = 445 meV per atom
# Magnetic moment = 0.020 μB/cell
# Calculated volume = 137.9 Å³ per cell


# Ba3SnO GGA-PBE optimized geometry
data_Ba3SnO
_cell_length_a 5.5257
_cell_length_b 5.5257
_cell_length_c 5.5257
_cell_angle_alpha 90.00
_cell_angle_beta 90.00
_cell_angle_gamma 90.00
_symmetry_space_group_name_H-M 'P 1'
_symmetry_Int_Tables_number 1
_symmetry_space_group_name_Hall 'P 1'
loop_
_atom_site_label
_atom_site_type_symbol
_atom_site_fract_x
_atom_site_fract_y
_atom_site_fract_z
_atom_site_occupancy
Ba1 Ba 0.0000 0.0000 0.5000 1
Ba2 Ba 0.0000 0.5000 0.0000 1
Ba3 Ba 0.5000 0.0000 0.0000 1
Sn1 Sn 0.5000 0.5000 0.5000 1
O1 O 0.0000 0.0000 0.0000 1
# Formation enthalpy at 0 K = -1532 meV per atom
# Calculated volume = 168.7 Å³ per cell


# Nb3AlCo8 GGA-PBE optimized geometry
data_Nb3AlCo8
_cell_length_a 8.2063
_cell_length_b 8.2063
_cell_length_c 8.2063
_cell_angle_alpha 33.60
_cell_angle_beta 33.60
_cell_angle_gamma 33.60
_symmetry_space_group_name_H-M 'P 1'
_symmetry_Int_Tables_number 1
_symmetry_space_group_name_Hall 'P 1'
loop_
_atom_site_label
_atom_site_type_symbol
_atom_site_fract_x
_atom_site_fract_y
_atom_site_fract_z
_atom_site_occupancy
Nb1 Nb 0.0000 0.0000 0.0000 1
Nb2 Nb 0.1251 0.1251 0.1251 1
Nb3 Nb 0.5057 0.5057 0.5057 1
Al1 Al 0.6283 0.6283 0.6283 1
Co1 Co 0.0628 0.5661 0.5661 1
Co2 Co 0.0659 0.0659 0.5624 1
Co3 Co 0.0659 0.5624 0.0659 1
Co4 Co 0.3139 0.3139 0.3139 1
Co5 Co 0.5624 0.0659 0.0659 1
Co6 Co 0.5661 0.0628 0.5661 1
Co7 Co 0.5661 0.5661 0.0628 1
Co8 Co 0.8146 0.8146 0.8146 1
# Formation enthalpy at 0 K = -188 meV per atom
# Magnetic moment = 0.007 μB/cell
# Calculated volume = 150.7 Å³ per cell


# YGa6Fe6 GGA-PBE optimized geometry
data_YGa6Fe6
_cell_length_a 6.5935
_cell_length_b 6.5935
_cell_length_c 6.5935
_cell_angle_alpha 134.96
_cell_angle_beta 99.31
_cell_angle_gamma 97.56
_symmetry_space_group_name_H-M 'P 1'
_symmetry_Int_Tables_number 1
_symmetry_space_group_name_Hall 'P 1'
loop_
_atom_site_label
_atom_site_type_symbol
_atom_site_fract_x
_atom_site_fract_y
_atom_site_fract_z
_atom_site_occupancy
Y1 Y 0.0000 0.0000 0.0000 1
Ga1 Ga 0.1815 0.6815 0.5000 1
Ga2 Ga 0.3341 0.0000 0.3341 1
Ga3 Ga 0.3436 0.3436 0.0000 1
Ga4 Ga 0.6564 0.6564 0.0000 1
Ga5 Ga 0.6659 0.0000 0.6659 1
Ga6 Ga 0.8185 0.3185 0.5000 1
Fe1 Fe 0.0000 0.0000 0.5000 1
Fe2 Fe 0.0000 0.5000 0.0000 1
Fe3 Fe 0.2450 0.5000 0.7450 1
Fe4 Fe 0.5000 0.0000 0.0000 1
Fe5 Fe 0.5000 0.5000 0.5000 1
Fe6 Fe 0.7550 0.5000 0.2550 1
# Formation enthalpy at 0 K = -321 meV per atom
# Magnetic moment = 11.132 μB/cell
# ΔE to the lowest computed polymorph = 0.0 kJ/mol of atoms
# Calculated volume = 187.3 Å³ per cell


# YMg14Mo GGA-PBE optimized geometry
data_YMg14Mo
_cell_length_a 6.4151
_cell_length_b 6.4151
_cell_length_c 10.0807
_cell_angle_alpha 90.00
_cell_angle_beta 90.00
_cell_angle_gamma 120.00
_symmetry_space_group_name_H-M 'P 1'
_symmetry_Int_Tables_number 1
_symmetry_space_group_name_Hall 'P 1'
loop_
_atom_site_label
_atom_site_type_symbol
_atom_site_fract_x
_atom_site_fract_y
_atom_site_fract_z
_atom_site_occupancy
Y1 Y 0.0000 0.0000 0.0000 1
Mg1 Mg 0.0098 0.5049 0.0000 1
Mg2 Mg 0.1629 0.3258 0.2646 1
Mg3 Mg 0.1629 0.3258 0.7354 1
Mg4 Mg 0.1629 0.8371 0.2646 1
Mg5 Mg 0.1629 0.8371 0.7354 1
Mg6 Mg 0.4951 0.5049 0.0000 1
Mg7 Mg 0.4951 0.9902 0.0000 1
Mg8 Mg 0.5018 0.0036 0.5000 1
Mg9 Mg 0.5018 0.4982 0.5000 1
Mg10 Mg 0.6667 0.3333 0.2428 1
Mg11 Mg 0.6667 0.3333 0.7572 1
Mg12 Mg 0.6742 0.8371 0.2646 1
Mg13 Mg 0.6742 0.8371 0.7354 1
Mg14 Mg 0.9964 0.4982 0.5000 1
Mo1 Mo 0.0000 0.0000 0.5000 1
# Formation enthalpy at 0 K = 128 meV per atom
# Magnetic moment = 1.358 μB/cell
# ΔE to the lowest computed polymorph = 2.9 kJ/mol of atoms
# Calculated volume = 359.3 Å³ per cell


# ZrUC2 GGA-PBE optimized geometry
data_ZrUC2
_cell_length_a 6.0214
_cell_length_b 6.0214
_cell_length_c 6.0214
_cell_angle_alpha 32.79
_cell_angle_beta 32.79
_cell_angle_gamma 32.79
_symmetry_space_group_name_H-M 'P 1'
_symmetry_Int_Tables_number 1
_symmetry_space_group_name_Hall 'P 1'
loop_
_atom_site_label
_atom_site_type_symbol
_atom_site_fract_x
_atom_site_fract_y
_atom_site_fract_z
_atom_site_occupancy
Zr1 Zr 0.0000 0.0000 0.0000 1
U1 U 0.5000 0.5000 0.5000 1
C1 C 0.2505 0.2505 0.2505 1
C2 C 0.7495 0.7495 0.7495 1
# Formation enthalpy at 0 K = -491 meV per atom
# Calculated volume = 57.0 Å³ per cell


# AlCuS2 GGA-PBE optimized geometry
data_AlCuS2
_cell_length_a 6.4762
_cell_length_b 6.4762
_cell_length_c 6.4762
_cell_angle_alpha 131.43
_cell_angle_beta 131.43
_cell_angle_gamma 71.13
_symmetry_space_group_name_H-M 'P 1'
_symmetry_Int_Tables_number 1
_symmetry_space_group_name_Hall 'P 1'
loop_
_atom_site_label
_atom_site_type_symbol
_atom_site_fract_x
_atom_site_fract_y
_atom_site_fract_z
_atom_site_occupancy
Al1 Al 0.0000 0.0000 0.0000 1
Al2 Al 0.7500 0.2500 0.5000 1
Cu1 Cu 0.2500 0.7500 0.5000 1
Cu2 Cu 0.5000 0.5000 0.0000 1
S1 S 0.1183 0.6250 0.9933 1
S2 S 0.3750 0.3683 0.4933 1
S3 S 0.6317 0.1250 0.0067 1
S4 S 0.8750 0.8817 0.5067 1
# Formation enthalpy at 0 K = -1060 meV per atom
# Maximum piezoelectric response = 0.13 C/m²
# Calculated volume = 149.5 Å³ per cell


# SiO2 GGA-PBE optimized geometry
data_SiO2
_cell_length_a 10.8134
_cell_length_b 10.8134
_cell_length_c 10.8134
_cell_angle_alpha 60.00
_cell_angle_beta 60.00
_cell_angle_gamma 60.00
_symmetry_space_group_name_H-M 'P 1'
_symmetry_Int_Tables_number 1
_symmetry_space_group_name_Hall 'P 1'
loop_
_atom_site_label
_atom_site_type_symbol
_atom_site_fract_x
_atom_site_fract_y
_atom_site_fract_z
_atom_site_occupancy
Si1 Si 0.0604 0.0604 0.0604 1
Si2 Si 0.0604 0.0604 0.3187 1
Si3 Si 0.0604 0.3187 0.0604 1
Si4 Si 0.3187 0.0604 0.0604 1
Si5 Si 0.6813 0.9396 0.9396 1
Si6 Si 0.9396 0.6813 0.9396 1
Si7 Si 0.9396 0.9396 0.6813 1
Si8 Si 0.9396 0.9396 0.9396 1
O1 O 0.0000 0.0000 0.0000 1
O2 O 0.0000 0.0000 0.5000 1
O3 O 0.0000 0.5000 0.0000 1
O4 O 0.0021 0.0021 0.2479 1
O5 O 0.0021 0.2479 0.0021 1
O6 O 0.0021 0.2479 0.2479 1
O7 O 0.2479 0.0021 0.0021 1
O8 O 0.2479 0.0021 0.2479 1
O9 O 0.2479 0.2479 0.0021 1
O10 O 0.5000 0.0000 0.0000 1
O11 O 0.7521 0.7521 0.9979 1
O12 O 0.7521 0.9979 0.7521 1
O13 O 0.7521 0.9979 0.9979 1
O14 O 0.9979 0.7521 0.7521 1
O15 O 0.9979 0.7521 0.9979 1
O16 O 0.9979 0.9979 0.7521 1
# Formation enthalpy at 0 K = -3133 meV per atom
# Magnetic moment = 0.000 μB/cell
# Calculated volume = 894.1 Å³ per cell


# BPt GGA-PBE optimized geometry
data_BPt
_cell_length_a 3.7587
_cell_length_b 3.7587
_cell_length_c 3.6626
_cell_angle_alpha 90.00
_cell_angle_beta 90.00
_cell_angle_gamma 120.00
_symmetry_space_group_name_H-M 'P 1'
_symmetry_Int_Tables_number 1
_symmetry_space_group_name_Hall 'P 1'
loop_
_atom_site_label
_atom_site_type_symbol
_atom_site_fract_x
_atom_site_fract_y
_atom_site_fract_z
_atom_site_occupancy
B1 B 0.0000 0.0000 0.0000 1
B2 B 0.0000 0.0000 0.5000 1
Pt1 Pt 0.3333 0.6667 0.2500 1
Pt2 Pt 0.6667 0.3333 0.7500 1
# Formation enthalpy at 0 K = 70 meV per atom
# Calculated volume = 44.8 Å³ per cell


# PuPaO4 GGA-PBE optimized geometry
data_PuPaO4
_cell_length_a 6.6572
_cell_length_b 6.6572
_cell_length_c 6.6572
_cell_angle_alpha 131.67
_cell_angle_beta 131.67
_cell_angle_gamma 70.76
_symmetry_space_group_name_H-M 'P 1'
_symmetry_Int_Tables_number 1
_symmetry_space_group_name_Hall 'P 1'
loop_
_atom_site_label
_atom_site_type_symbol
_atom_site_fract_x
_atom_site_fract_y
_atom_site_fract_z
_atom_site_occupancy
Pu1 Pu 0.3750 0.6250 0.7500 1
Pu2 Pu 0.6250 0.3750 0.2500 1
Pa1 Pa 0.1250 0.8750 0.2500 1
Pa2 Pa 0.8750 0.1250 0.7500 1
O1 O 0.0000 0.2378 0.2378 1
O2 O 0.0000 0.7622 0.7622 1
O3 O 0.2378 0.0000 0.7378 1
O4 O 0.2378 0.5000 0.2378 1
O5 O 0.5000 0.2378 0.7378 1
O6 O 0.5000 0.7622 0.2622 1
O7 O 0.7622 0.0000 0.2622 1
O8 O 0.7622 0.5000 0.7622 1
# Formation enthalpy at 0 K = -3973 meV per atom
# Calculated volume = 161.3 Å³ per cell


# PdAu2N4Cl8 GGA-PBE optimized geometry
data_PdAu2N4Cl8
_cell_length_a 7.7004
_cell_length_b 7.9259
_cell_length_c 8.3335
_cell_angle_alpha 111.78
_cell_angle_beta 104.10
_cell_angle_gamma 107.62
_symmetry_space_group_name_H-M 'P 1'
_symmetry_Int_Tables_number 1
_symmetry_space_group_name_Hall 'P 1'
loop_
_atom_site_label
_atom_site_type_symbol
_atom_site_fract_x
_atom_site_fract_y
_atom_site_fract_z
_atom_site_occupancy
Pd1 Pd 0.0000 0.0000 0.0000 1
Au1 Au 0.0443 0.5606 0.2949 1
Au2 Au 0.9557 0.4394 0.7051 1
N1 N 0.0941 0.0788 0.2820 1
N2 N 0.2673 0.2069 0.0392 1
N3 N 0.7327 0.7931 0.9608 1
N4 N 0.9059 0.9212 0.7180 1
Cl1 Cl 0.1469 0.7709 0.9662 1
Cl2 Cl 0.2086 0.8827 0.5397 1
Cl3 Cl 0.2449 0.4003 0.7896 1
Cl4 Cl 0.3305 0.5167 0.3694 1
Cl5 Cl 0.6695 0.4833 0.6306 1
Cl6 Cl 0.7551 0.5997 0.2104 1
Cl7 Cl 0.7914 0.1173 0.4603 1
Cl8 Cl 0.8531 0.2291 0.0338 1
# Formation enthalpy at 0 K = 755 meV per atom
# Magnetic moment = 4.000 μB/cell
# ΔE to the lowest computed polymorph = 0.0 kJ/mol of atoms
# Calculated volume = 412.1 Å³ per cell